# 1
VASP calculation (PBE+U) on crystalline Li3MnAsCO7 at its relaxed geometry.

Cell: 8.525 8.526 9.865 Å, 106.60 106.60 106.59°
Fractional coordinates of all 52 atoms:
As (0.688, 0.438, 0.416)
O (0.473, 0.723, 0.567)
Li (0.037, 0.787, 0.079)
Li (0.981, 0.519, 0.276)
O (0.027, 0.777, 0.433)
Li (0.769, 0.731, 0.276)
Li (0.231, 0.269, 0.724)
O (0.331, 0.081, 0.604)
Mn (0.425, 0.675, 0.326)
O (0.196, 0.446, 0.123)
O (0.215, 0.658, 0.696)
O (0.804, 0.554, 0.877)
Li (0.731, 0.769, 0.724)
O (0.616, 0.366, 0.935)
Li (0.481, 0.019, 0.276)
O (0.143, 0.393, 0.875)
O (0.831, 0.581, 0.604)
Mn (0.075, 0.825, 0.674)
Mn (0.575, 0.325, 0.674)
O (0.696, 0.946, 0.123)
O (0.285, 0.842, 0.304)
O (0.785, 0.342, 0.304)
C (0.742, 0.992, 0.021)
O (0.858, 0.607, 0.125)
O (0.092, 0.035, 0.304)
C (0.242, 0.492, 0.021)
O (0.669, 0.919, 0.396)
Li (0.019, 0.481, 0.724)
O (0.169, 0.419, 0.396)
Li (0.463, 0.713, 0.921)
C (0.758, 0.508, 0.979)
O (0.384, 0.634, 0.066)
O (0.884, 0.134, 0.065)
O (0.304, 0.054, 0.877)
As (0.188, 0.938, 0.416)
O (0.643, 0.892, 0.875)
O (0.527, 0.277, 0.433)
Li (0.269, 0.231, 0.276)
C (0.258, 0.008, 0.979)
As (0.312, 0.562, 0.584)
O (0.357, 0.108, 0.125)
O (0.116, 0.866, 0.935)
As (0.812, 0.062, 0.584)
O (0.408, 0.465, 0.696)
O (0.908, 0.965, 0.696)
O (0.592, 0.535, 0.304)
Li (0.519, 0.981, 0.724)
Li (0.963, 0.213, 0.921)
Mn (0.925, 0.174, 0.326)
O (0.715, 0.158, 0.696)
Li (0.537, 0.287, 0.079)
O (0.973, 0.223, 0.567)

Computed properties:
The value obtained for the calculated formation energy is -2.1112 eV per atom.

***

# 2
VASP calculation (PBE+U) on crystalline NaMnAsCO7 at its relaxed geometry.

Cell: 5.399 6.440 9.288 Å, 90.00 92.93 90.00°
Fractional coordinates of all 22 atoms:
Na (0.235, 0.000, 0.275)
Na (0.765, 0.500, 0.725)
Mn (0.212, 0.222, 0.838)
Mn (0.788, 0.722, 0.162)
As (0.280, 0.728, 0.936)
As (0.720, 0.228, 0.064)
C (0.276, 0.234, 0.581)
C (0.724, 0.734, 0.419)
O (0.057, 0.232, 0.639)
O (0.127, 0.737, 0.092)
O (0.198, 0.525, 0.824)
O (0.208, 0.927, 0.818)
O (0.309, 0.232, 0.451)
O (0.404, 0.213, 0.022)
O (0.456, 0.237, 0.684)
O (0.544, 0.737, 0.316)
O (0.596, 0.713, 0.978)
O (0.691, 0.732, 0.549)
O (0.792, 0.427, 0.182)
O (0.802, 0.025, 0.176)
O (0.873, 0.237, 0.908)
O (0.943, 0.732, 0.361)

Computed properties:
The value obtained for the calculated formation energy is -1.8245 eV per atom.

***

# 3
VASP calculation (PBE+U) on crystalline Na5Mn2AsC4O16 at its relaxed geometry.

Cell: 10.117 10.075 10.017 Å, 60.47 60.05 59.48°
Fractional coordinates of all 56 atoms:
Na (0.208, 0.208, 0.792)
Na (0.211, 0.789, 0.789)
Na (0.212, 0.788, 0.212)
Na (0.537, 0.963, 0.963)
Na (0.541, 0.541, 0.959)
Na (0.788, 0.212, 0.788)
Na (0.789, 0.211, 0.211)
Na (0.792, 0.792, 0.208)
Na (0.959, 0.959, 0.541)
Na (0.963, 0.537, 0.537)
Mn (0.370, 0.377, 0.876)
Mn (0.377, 0.370, 0.377)
Mn (0.377, 0.876, 0.377)
Mn (0.876, 0.377, 0.370)
As (0.000, 0.000, 0.000)
As (0.750, 0.750, 0.750)
C (0.153, 0.160, 0.523)
C (0.160, 0.153, 0.164)
C (0.164, 0.523, 0.160)
C (0.230, 0.588, 0.591)
C (0.523, 0.164, 0.153)
C (0.588, 0.230, 0.591)
C (0.591, 0.591, 0.230)
C (0.591, 0.591, 0.588)
O (0.014, 0.186, 0.518)
O (0.018, 0.266, 0.189)
O (0.024, 0.529, 0.272)
O (0.175, 0.272, 0.529)
O (0.186, 0.014, 0.281)
O (0.189, 0.527, 0.018)
O (0.210, 0.927, 0.934)
O (0.220, 0.728, 0.573)
O (0.223, 0.567, 0.476)
O (0.243, 0.466, 0.723)
O (0.266, 0.018, 0.527)
O (0.272, 0.175, 0.024)
O (0.281, 0.518, 0.186)
O (0.466, 0.243, 0.568)
O (0.476, 0.734, 0.223)
O (0.479, 0.573, 0.728)
O (0.518, 0.281, 0.014)
O (0.527, 0.189, 0.266)
O (0.529, 0.024, 0.175)
O (0.541, 0.816, 0.833)
O (0.567, 0.223, 0.734)
O (0.568, 0.723, 0.466)
O (0.573, 0.479, 0.220)
O (0.723, 0.568, 0.243)
O (0.728, 0.220, 0.479)
O (0.734, 0.476, 0.567)
O (0.809, 0.833, 0.816)
O (0.816, 0.541, 0.809)
O (0.833, 0.809, 0.541)
O (0.927, 0.210, 0.930)
O (0.930, 0.934, 0.927)
O (0.934, 0.930, 0.210)

Computed properties:
The value obtained for the calculated formation energy is -1.9202 eV per atom.

***

# 4
VASP calculation (PBE+U) on crystalline Na5Mn2AsC4O16 at its relaxed geometry.

Cell: 10.109 10.024 10.080 Å, 60.37 59.54 60.09°
Fractional coordinates of all 56 atoms:
Na (0.000, 0.000, 0.000)
Na (0.250, 0.250, 0.250)
Na (0.254, 0.666, 0.258)
Na (0.256, 0.666, 0.822)
Na (0.428, 0.993, 0.994)
Na (0.429, 0.992, 0.584)
Na (0.666, 0.254, 0.821)
Na (0.666, 0.256, 0.257)
Na (0.992, 0.429, 0.996)
Na (0.993, 0.428, 0.584)
Mn (0.341, 0.833, 0.412)
Mn (0.833, 0.341, 0.414)
Mn (0.836, 0.838, 0.417)
Mn (0.838, 0.836, 0.909)
As (0.213, 0.213, 0.787)
As (0.463, 0.463, 0.037)
C (0.053, 0.054, 0.261)
C (0.054, 0.053, 0.631)
C (0.057, 0.690, 0.627)
C (0.619, 0.989, 0.196)
C (0.623, 0.625, 0.193)
C (0.625, 0.623, 0.560)
C (0.690, 0.057, 0.625)
C (0.989, 0.619, 0.197)
O (0.003, 0.281, 0.859)
O (0.029, 0.196, 0.258)
O (0.029, 0.936, 0.770)
O (0.037, 0.682, 0.515)
O (0.190, 0.703, 0.602)
O (0.193, 0.942, 0.257)
O (0.196, 0.029, 0.517)
O (0.275, 0.278, 0.869)
O (0.278, 0.275, 0.578)
O (0.281, 0.003, 0.858)
O (0.381, 0.672, 0.975)
O (0.391, 0.392, 0.247)
O (0.392, 0.391, 0.969)
O (0.480, 0.647, 0.305)
O (0.480, 0.986, 0.221)
O (0.484, 0.735, 0.568)
O (0.641, 0.993, 0.308)
O (0.647, 0.480, 0.568)
O (0.648, 0.745, 0.060)
O (0.672, 0.381, 0.972)
O (0.682, 0.037, 0.766)
O (0.682, 0.945, 0.603)
O (0.703, 0.190, 0.505)
O (0.733, 0.992, 0.054)
O (0.735, 0.484, 0.213)
O (0.745, 0.648, 0.547)
O (0.936, 0.029, 0.264)
O (0.942, 0.193, 0.609)
O (0.945, 0.682, 0.770)
O (0.986, 0.480, 0.314)
O (0.992, 0.733, 0.221)
O (0.993, 0.641, 0.057)

Computed properties:
The value obtained for the calculated formation energy is -1.9211 eV per atom.